A plane-wave DFT calculation with PBE with a Hubbard U was carried out for an optimized crystal structure of LiVSi2O6.

Unit cell a=8.7585 b=5.3676 c=9.4061 alpha=77.18 beta=90.00 gamma=90.00
Sites, in units of the cell vectors:
Si1 0.3390 0.7886 0.4518
Si2 0.6612 0.7651 0.9517
Si3 0.8388 0.2651 0.9517
Si4 0.8390 0.7114 0.5482
Si5 0.3388 0.2349 0.0483
Si6 0.1610 0.2886 0.4518
Si7 0.6610 0.2114 0.5482
Si8 0.1612 0.7349 0.0483
O1 0.5019 0.7674 0.3738
O2 0.8338 0.1971 0.1318
O3 0.0065 0.3015 0.8794
O4 0.2259 0.5824 0.3976
O5 0.5065 0.1985 0.1206
O6 0.7668 0.0216 0.8931
O7 0.9981 0.2674 0.3738
O8 0.7332 0.5216 0.8931
O9 0.2332 0.9784 0.1069
O10 0.8357 0.7777 0.3675
O11 0.9935 0.6985 0.1206
O12 0.2668 0.4784 0.1069
O13 0.6643 0.2777 0.3675
O14 0.1662 0.8029 0.8682
O15 0.7741 0.4176 0.6024
O16 0.2741 0.0824 0.3976
O17 0.1643 0.2223 0.6325
O18 0.4935 0.8015 0.8794
O19 0.0019 0.7326 0.6262
O20 0.3338 0.3029 0.8682
O21 0.3357 0.7223 0.6325
O22 0.4981 0.2326 0.6262
O23 0.6662 0.6971 0.1318
O24 0.7259 0.9176 0.6024
Li1 0.5042 0.5114 0.7523
Li2 0.4958 0.4886 0.2477
Li3 0.0042 0.9886 0.2477
Li4 0.9958 0.0114 0.7523
V1 0.3469 0.0149 0.7496
V2 0.8469 0.4851 0.2504
V3 0.6531 0.9851 0.2504
V4 0.1531 0.5149 0.7496

## Properties
E_tot, eV/cell: -301.33
Energy above the most stable polymorph in this dataset, kJ per mole of atoms: 1.16
E_form, eV/atom: -2.962

***

A plane-wave DFT calculation with PBE with a Hubbard U was carried out for an optimized crystal structure of Li3VSi2O7.

Unit cell a=13.0834 b=8.6294 c=8.6426 alpha=60.14 beta=90.00 gamma=90.00
Sites, in units of the cell vectors:
Si1 0.8452 0.0234 0.3278
Si2 0.1207 0.6744 0.3489
Si3 0.1201 0.9795 0.6712
Si4 0.3452 0.9766 0.6722
Si5 0.6201 0.0205 0.3288
Si6 0.3452 0.6757 0.3508
Si7 0.3447 0.3528 0.9717
Si8 0.8447 0.6472 0.0283
Si9 0.8452 0.3243 0.6492
Si10 0.6207 0.6486 0.0255
Si11 0.1207 0.3514 0.9745
Si12 0.6207 0.3256 0.6511
O1 0.7326 0.3036 0.5677
O2 0.2326 0.6964 0.4323
O3 0.2326 0.4367 0.8696
O4 0.1050 0.4181 0.1202
O5 0.4295 0.7594 0.4296
O6 0.8416 0.8690 0.9290
O7 0.3600 0.1168 0.4643
O8 0.7326 0.5633 0.1304
O9 0.9295 0.5682 0.1898
O10 0.9292 0.1858 0.2437
O11 0.8427 0.9317 0.2019
O12 0.7324 0.1255 0.3065
O13 0.3416 0.1310 0.0710
O14 0.5367 0.5670 0.1888
O15 0.4295 0.4318 0.8102
O16 0.8600 0.8832 0.5357
O17 0.3596 0.4162 0.1207
O18 0.6260 0.2048 0.8678
O19 0.6054 0.8832 0.5377
O20 0.5368 0.2421 0.5703
O21 0.0368 0.7579 0.4297
O22 0.1263 0.1303 0.0750
O23 0.0367 0.4330 0.8112
O24 0.6254 0.9271 0.2054
O25 0.6263 0.8697 0.9250
O26 0.0369 0.8149 0.7544
O27 0.6051 0.5401 0.5789
O28 0.9295 0.2406 0.5704
O29 0.3427 0.0683 0.7981
O30 0.8605 0.5389 0.5799
O31 0.8596 0.5838 0.8793
O32 0.1260 0.7952 0.1322
O33 0.2324 0.8745 0.6935
O34 0.1051 0.4599 0.4211
O35 0.3605 0.4611 0.4201
O36 0.5369 0.1851 0.2456
O37 0.1054 0.1168 0.4623
O38 0.3426 0.7986 0.1333
O39 0.8426 0.2014 0.8667
O40 0.1254 0.0729 0.7946
O41 0.6050 0.5819 0.8798
O42 0.4292 0.8142 0.7563
Li1 0.3979 0.6637 0.0269
Li2 0.0666 0.0212 0.3099
Li3 0.8986 0.6915 0.3327
Li4 0.8965 0.9785 0.6889
Li5 0.3965 0.0215 0.3111
Li6 0.7343 0.6685 0.6659
Li7 0.5655 0.6919 0.3313
Li8 0.8979 0.3363 0.9731
Li9 0.2181 0.6691 0.6650
Li10 0.5666 0.9788 0.6901
Li11 0.4628 0.0023 0.9976
Li12 0.5661 0.3338 0.9741
Li13 0.3986 0.3085 0.6673
Li14 0.0655 0.3081 0.6687
Li15 0.2343 0.3315 0.3341
Li16 0.7181 0.3309 0.3350
Li17 0.9628 0.9977 0.0024
Li18 0.0661 0.6662 0.0259
V1 0.0095 0.3315 0.3345
V2 0.4559 0.3314 0.3347
V3 0.5095 0.6685 0.6655
V4 0.2313 0.9978 0.9979
V5 0.7313 0.0022 0.0021
V6 0.9559 0.6686 0.6653

## Properties
E_tot, eV/cell: -543.77
Energy above the most stable polymorph in this dataset, kJ per mole of atoms: 0.29
E_form, eV/atom: -2.834

***

A plane-wave DFT calculation with PBE with a Hubbard U was carried out for an optimized crystal structure of Li4V3SiO10.

Unit cell a=5.1303 b=6.0490 c=8.3051 alpha=90.41 beta=107.95 gamma=90.12
Sites, in units of the cell vectors:
Li1 0.5237 0.6578 0.9001
Li2 0.1371 0.6624 0.1143
Li3 0.0209 0.3433 0.8882
Li4 0.6312 0.3538 0.1251
Si1 0.7086 0.8459 0.2778
O1 0.0089 0.8910 0.2443
O2 0.7672 0.7662 0.4756
O3 0.3994 0.3375 0.8796
O4 0.7996 0.1075 0.7456
O5 0.0275 0.3416 0.1303
O6 0.2980 0.8844 0.7502
O7 0.8918 0.6540 0.8604
O8 0.2627 0.2460 0.5024
O9 0.5336 0.6661 0.1429
O10 0.5492 0.0907 0.2558
V1 0.4337 0.1628 0.7205
V2 0.2079 0.1611 0.2854
V3 0.9230 0.8280 0.7014

## Properties
E_tot, eV/cell: -123.97
Piezoelectric modulus e_max, C/m²: 0.76
E_form, eV/atom: -2.564

***

A plane-wave DFT calculation with PBE with a Hubbard U was carried out for an optimized crystal structure of Li2V2Si3O9.

Unit cell a=10.0885 b=10.0885 c=12.5763 alpha=90.00 beta=90.00 gamma=120.00
Sites, in units of the cell vectors:
Si1 0.6704 0.4895 0.2352
Si2 0.5067 0.6750 0.4368
Si3 0.1683 0.4933 0.7701
Si4 0.3770 0.8467 0.5832
Si5 0.8191 0.3296 0.5685
Si6 0.9536 0.1611 0.4480
Si7 0.0537 0.1971 0.9042
Si8 0.5105 0.1809 0.9019
Si9 0.2075 0.0464 0.7813
Si10 0.1533 0.5304 0.2498
Si11 0.8029 0.8566 0.5709
Si12 0.1434 0.9463 0.2376
Si13 0.8389 0.7925 0.1147
Si14 0.3250 0.8317 0.1035
Si15 0.8605 0.3778 0.0956
Si16 0.6222 0.4827 0.7623
Si17 0.4696 0.6230 0.9165
Si18 0.5173 0.1395 0.4289
V1 0.7038 0.0019 0.0023
V2 0.6725 0.9940 0.2444
V3 0.2980 0.2962 0.3357
V4 0.9981 0.7020 0.6690
V5 0.8286 0.3308 0.8268
V6 0.1740 0.9946 0.5060
V7 0.8206 0.8260 0.8394
V8 0.6692 0.4978 0.4935
V9 0.3216 0.3275 0.5778
V10 0.0060 0.6784 0.9111
V11 0.5022 0.1714 0.1602
V12 0.0054 0.1794 0.1727
Li1 0.6737 0.9958 0.7477
Li2 0.4744 0.6365 0.1849
Li3 0.3635 0.8379 0.8515
Li4 0.5078 0.1352 0.6820
Li5 0.3221 0.3263 0.0810
Li6 0.8648 0.3725 0.3487
Li7 0.4979 0.6981 0.6798
Li8 0.2003 0.5021 0.0131
Li9 0.0042 0.6779 0.4143
Li10 0.1621 0.5256 0.5182
Li11 0.6275 0.4922 0.0154
Li12 0.3019 0.7997 0.3464
O1 0.4827 0.0029 0.5134
O2 0.5959 0.8012 0.8982
O3 0.1258 0.1872 0.4642
O4 0.5466 0.0989 0.3102
O5 0.5523 0.4534 0.6436
O6 0.1628 0.1145 0.2288
O7 0.8788 0.5128 0.5654
O8 0.2843 0.6939 0.1927
O9 0.9548 0.3106 0.5081
O10 0.3905 0.1921 0.4465
O11 0.0427 0.3280 0.8283
O12 0.8017 0.6095 0.7798
O13 0.4454 0.8752 0.7019
O14 0.4872 0.3660 0.2321
O15 0.9011 0.4477 0.9769
O16 0.0614 0.8742 0.7975
O17 0.9517 0.8372 0.5621
O18 0.5122 0.9373 0.1060
O19 0.4251 0.4878 0.4393
O20 0.7183 0.4003 0.1420
O21 0.7732 0.5228 0.3402
O22 0.6720 0.7147 0.4950
O23 0.4772 0.2505 0.0068
O24 0.1988 0.7947 0.5648
O25 0.7495 0.2268 0.6735
O26 0.6340 0.1212 0.8988
O27 0.4298 0.5546 0.0353
O28 0.2380 0.4726 0.6606
O29 0.2853 0.9573 0.1616
O30 0.8855 0.0483 0.8954
O31 0.3558 0.0452 0.8415
O32 0.8913 0.1548 0.3273
O33 0.3061 0.5904 0.8593
O34 0.1855 0.1741 0.8459
O35 0.2053 0.4041 0.2315
O36 0.6820 0.2817 0.4754
O37 0.0627 0.5749 0.7726
O38 0.5997 0.3180 0.8087
O39 0.8452 0.7364 0.9940
O40 0.9971 0.4798 0.1801
O41 0.5274 0.7654 0.3273
O42 0.9886 0.8145 0.1792
O43 0.5202 0.5173 0.8468
O44 0.2636 0.1087 0.6607
O45 0.7288 0.8433 0.6873
O46 0.1248 0.5702 0.3686
O47 0.1567 0.8855 0.3539
O48 0.8128 0.9386 0.1309
O49 0.1145 0.2712 0.0206
O50 0.6894 0.6442 0.1748
O51 0.4096 0.7157 0.5260
O52 0.8259 0.0114 0.5125
O53 0.2346 0.7620 0.9939
O54 0.8079 0.1983 0.1132

## Properties
E_tot, eV/cell: -706.46
Energy above the most stable polymorph in this dataset, kJ per mole of atoms: 0.76
E_form, eV/atom: -2.783

***

Number 1: total energy after the MP2020 corrections -8.1155 eV/atom. Number 2: total energy after the MP2020 corrections -7.4721 eV/atom. Number 3: total energy after the MP2020 corrections -7.5524 eV/atom. Number 4: total energy after the MP2020 corrections -7.9579 eV/atom.